1.
The following is a PBE+U calculation of MgMn4Si8O22 after structural relaxation, from Materials Project.

a = 7.155 Å, b = 7.710 Å, c = 8.759 Å
α = 97.27°, β = 102.25°, γ = 108.68°
Sites, in units of the cell vectors:
Mg1 0.000 0.000 0.000
Mn1 0.037 0.378 0.522
Mn2 0.295 0.100 0.766
Mn3 0.502 0.381 0.540
Mn4 0.782 0.133 0.743
Si1 0.105 0.972 0.378
Si2 0.197 0.541 0.903
Si3 0.371 0.780 0.534
Si4 0.398 0.148 0.186
Si5 0.628 0.527 0.930
Si6 0.677 0.983 0.359
Si7 0.916 0.721 0.747
Si8 0.924 0.374 0.116
O1 0.080 0.357 0.754
O2 0.113 0.520 0.061
O3 0.143 0.713 0.830
O4 0.151 0.798 0.445
O5 0.177 0.997 0.213
O6 0.229 0.168 0.515
O7 0.300 0.156 0.005
O8 0.318 0.565 0.565
O9 0.444 0.595 0.960
O10 0.475 0.336 0.321
O11 0.477 0.949 0.692
O12 0.523 0.812 0.415
O13 0.551 0.359 0.769
O14 0.554 0.031 0.201
O15 0.735 0.459 0.082
O16 0.777 0.169 0.507
O17 0.786 0.556 0.593
O18 0.802 0.714 0.899
O19 0.855 0.173 0.992
O20 0.859 0.917 0.317
O21 0.966 0.943 0.742
O22 0.984 0.354 0.298

Output
DFT total energy in eV/cell: -269.53
Formation energy from the elements in eV/atom: -2.8803
Corrected total energy (MP2020 scheme) in Ry/atom: -0.6118
Distance to the lowest polymorph of the same formula in eV/atom: 0.0143

2.
The following is a PBE+U calculation of MgMnSiO4 after structural relaxation, from Materials Project.

a = 10.673 Å, b = 6.213 Å, c = 4.843 Å
α = 90.00°, β = 90.00°, γ = 90.00°
Sites, in units of the cell vectors:
Mg1 0.000 0.000 0.000
Mg2 0.000 0.500 0.000
Mg3 0.500 0.000 0.500
Mg4 0.500 0.500 0.500
Mn1 0.221 0.250 0.487
Mn2 0.279 0.750 0.987
Mn3 0.721 0.250 0.013
Mn4 0.779 0.750 0.513
Si1 0.090 0.750 0.422
Si2 0.410 0.250 0.922
Si3 0.590 0.750 0.078
Si4 0.910 0.250 0.578
O1 0.050 0.250 0.733
O2 0.085 0.750 0.759
O3 0.158 0.538 0.277
O4 0.158 0.962 0.277
O5 0.342 0.038 0.777
O6 0.342 0.462 0.777
O7 0.415 0.250 0.259
O8 0.450 0.750 0.233
O9 0.550 0.250 0.767
O10 0.585 0.750 0.741
O11 0.658 0.538 0.223
O12 0.658 0.962 0.223
O13 0.842 0.038 0.723
O14 0.842 0.462 0.723
O15 0.915 0.250 0.241
O16 0.950 0.750 0.267

Output
DFT total energy in eV/cell: -207.78
Formation energy from the elements in eV/atom: -2.9116
Corrected total energy (MP2020 scheme) in Ry/atom: -0.5918

3.
The following is a PBE+U calculation of MgMn4Si8O22 after structural relaxation, from Materials Project.

a = 7.162 Å, b = 7.742 Å, c = 8.727 Å
α = 95.51°, β = 103.81°, γ = 108.72°
Sites, in units of the cell vectors:
Mg1 0.000 0.000 0.000
Mn1 0.269 0.352 0.689
Mn2 0.472 0.635 0.457
Mn3 0.763 0.354 0.674
Mn4 0.989 0.633 0.446
Si1 0.071 0.244 0.293
Si2 0.164 0.783 0.829
Si3 0.333 0.032 0.448
Si4 0.357 0.412 0.097
Si5 0.585 0.782 0.838
Si6 0.640 0.237 0.284
Si7 0.881 0.980 0.659
Si8 0.882 0.616 0.035
O1 0.043 0.610 0.679
O2 0.093 0.769 0.997
O3 0.096 0.965 0.783
O4 0.123 0.059 0.335
O5 0.130 0.261 0.119
O6 0.199 0.428 0.432
O7 0.268 0.819 0.482
O8 0.316 0.454 0.921
O9 0.412 0.853 0.882
O10 0.435 0.196 0.606
O11 0.436 0.593 0.237
O12 0.499 0.058 0.342
O13 0.499 0.279 0.127
O14 0.508 0.615 0.685
O15 0.738 0.417 0.433
O16 0.745 0.763 0.002
O17 0.750 0.970 0.797
O18 0.766 0.803 0.513
O19 0.792 0.433 0.905
O20 0.823 0.181 0.237
O21 0.929 0.603 0.221
O22 0.945 0.188 0.626

Output
DFT total energy in eV/cell: -268.13
Formation energy from the elements in eV/atom: -2.8402
Corrected total energy (MP2020 scheme) in Ry/atom: -0.6088
Distance to the lowest polymorph of the same formula in eV/atom: 0.0545

4.
The following is a PBE+U calculation of MgMn4Si8O22 after structural relaxation, from Materials Project.

a = 7.335 Å, b = 7.483 Å, c = 9.465 Å
α = 91.44°, β = 107.51°, γ = 115.86°
Sites, in units of the cell vectors:
Mg1 0.000 0.000 0.000
Mn1 0.264 0.808 0.219
Mn2 0.355 0.144 0.889
Mn3 0.645 0.856 0.111
Mn4 0.736 0.192 0.781
Si1 0.069 0.292 0.288
Si2 0.190 0.495 0.895
Si3 0.247 0.873 0.563
Si4 0.483 0.321 0.249
Si5 0.517 0.679 0.751
Si6 0.753 0.127 0.437
Si7 0.810 0.505 0.105
Si8 0.931 0.708 0.712
O1 0.006 0.247 0.438
O2 0.007 0.470 0.223
O3 0.061 0.273 0.929
O4 0.073 0.917 0.834
O5 0.250 0.926 0.402
O6 0.324 0.379 0.309
O7 0.331 0.685 0.039
O8 0.342 0.128 0.106
O9 0.352 0.718 0.614
O10 0.363 0.486 0.818
O11 0.392 0.074 0.704
O12 0.608 0.926 0.296
O13 0.637 0.514 0.182
O14 0.648 0.282 0.386
O15 0.658 0.872 0.894
O16 0.669 0.315 0.961
O17 0.676 0.621 0.691
O18 0.750 0.074 0.598
O19 0.927 0.083 0.166
O20 0.939 0.727 0.071
O21 0.993 0.530 0.777
O22 0.994 0.753 0.562

Output
DFT total energy in eV/cell: -269.34
Formation energy from the elements in eV/atom: -2.8748
Corrected total energy (MP2020 scheme) in Ry/atom: -0.6114
Distance to the lowest polymorph of the same formula in eV/atom: 0.0198